VASP calculation (PBE+U) on a relaxed LiMn2F5 crystal.

Results
The total moment is 10.0 μB per formula unit. For the calculated volume, the calculation gives 437.5 Å³/cell. For the formation energy, the calculation gives -2.972 eV per atom.

a b c (Å): 6.5041 8.0051 8.9565
angles (deg): 106.35 91.06 101.27
Positions (direct):
1 Li 0.7861 0.2115 0.4460
2 Li 0.3182 0.2152 0.1592
3 Li 0.6818 0.7848 0.8408
4 Li 0.2139 0.7885 0.5540
5 Mn 0.5421 0.1863 0.7937
6 Mn 0.0335 0.1519 0.7866
7 Mn 0.3252 0.3799 0.5672
8 Mn 0.8602 0.3867 0.1197
9 Mn 0.1398 0.6133 0.8803
10 Mn 0.6748 0.6201 0.4328
11 Mn 0.9665 0.8481 0.2134
12 Mn 0.4579 0.8137 0.2063
13 F 0.7343 0.9947 0.7678
14 F 0.2565 0.9952 0.7325
15 F 0.7435 0.0048 0.2675
16 F 0.2657 0.0053 0.2322
17 F 0.5519 0.2184 0.5716
18 F 0.8665 0.3803 0.8694
19 F 0.0311 0.2064 0.5636
20 F 0.3089 0.3758 0.8161
21 F 0.5546 0.2319 0.0356
22 F 0.8335 0.4013 0.3517
23 F 0.0658 0.2134 0.0406
24 F 0.3912 0.4023 0.3486
25 F 0.6088 0.5977 0.6514
26 F 0.9342 0.7866 0.9594
27 F 0.1665 0.5987 0.6483
28 F 0.4454 0.7681 0.9644
29 F 0.6911 0.6242 0.1839
30 F 0.9689 0.7936 0.4364
31 F 0.1335 0.6197 0.1306
32 F 0.4481 0.7816 0.4284